Record 1
DFT (GGA-PBE) results for an optimized crystal structure of SmP2H2CO6.

The structure in POSCAR format:
```
SmP2H2CO6
1.0
4.1488 -7.1083 0.0000
4.1488 7.1083 0.0000
-1.8995 0.0000 4.9726
Sm P H C O
2 4 4 2 12
direct
0.2294 0.7706 0.0000
0.7706 0.2294 0.0000
0.1422 0.3669 0.6260
0.3669 0.1422 0.6260
0.6331 0.8578 0.3740
0.8578 0.6331 0.3740
0.0959 0.0959 0.7693
0.3177 0.3177 0.9771
0.6823 0.6823 0.0229
0.9041 0.9041 0.2307
0.2281 0.2281 0.7666
0.7719 0.7719 0.2334
0.0191 0.3949 0.7985
0.0270 0.2635 0.3284
0.2635 0.0270 0.3284
0.3180 0.5832 0.6948
0.3949 0.0191 0.7985
0.4168 0.6820 0.3052
0.5832 0.3180 0.6948
0.6051 0.9809 0.2015
0.6820 0.4168 0.3052
0.7365 0.9730 0.6716
0.9730 0.7365 0.6716
0.9809 0.6051 0.2015
```

Calculated formation energy, eV/atom: -2.156

Record 2
DFT (GGA-PBE) results for an optimized crystal structure of ThUP4H4C2O16.

The structure in POSCAR format:
```
ThUP4H4C2O16
1.0
5.7490 0.0000 0.0000
0.0000 20.3497 0.0000
-1.7376 0.0000 7.1677
Th U P H C O
2 2 8 8 4 32
direct
0.1849 0.2500 0.1028
0.8151 0.7500 0.8972
0.0000 0.0000 0.5000
0.0000 0.5000 0.5000
0.3064 0.6357 0.7797
0.3064 0.8643 0.7797
0.4034 0.1252 0.8117
0.4034 0.3748 0.8117
0.5966 0.6252 0.1883
0.5966 0.8748 0.1883
0.6936 0.1357 0.2203
0.6936 0.3643 0.2203
0.2787 0.5557 0.0154
0.2787 0.9443 0.0154
0.4520 0.0504 0.0664
0.4520 0.4496 0.0664
0.5480 0.5504 0.9336
0.5480 0.9496 0.9336
0.7213 0.0557 0.9846
0.7213 0.4443 0.9846
0.4246 0.5843 0.9805
0.4246 0.9157 0.9805
0.5754 0.0843 0.0195
0.5754 0.4157 0.0195
0.0866 0.2500 0.4136
0.0949 0.6751 0.8246
0.0949 0.8249 0.8246
0.1453 0.0058 0.3069
0.1453 0.4942 0.3069
0.2175 0.5898 0.6125
0.2175 0.9102 0.6125
0.2281 0.1731 0.8702
0.2281 0.3269 0.8702
0.2355 0.7500 0.1369
0.2794 0.0700 0.6822
0.2794 0.4300 0.6822
0.4317 0.6649 0.2883
0.4317 0.8351 0.2883
0.4915 0.1803 0.2485
0.4915 0.3197 0.2485
0.5085 0.6803 0.7515
0.5085 0.8197 0.7515
0.5683 0.1649 0.7117
0.5683 0.3351 0.7117
0.7206 0.5700 0.3178
0.7206 0.9300 0.3178
0.7645 0.2500 0.8631
0.7719 0.6731 0.1298
0.7719 0.8269 0.1298
0.7825 0.0898 0.3875
0.7825 0.4102 0.3875
0.8547 0.5058 0.6931
0.8547 0.9942 0.6931
0.9051 0.1751 0.1754
0.9051 0.3249 0.1754
0.9134 0.7500 0.5864
```

Calculated formation energy, eV/atom: -1.937

Record 3
DFT (GGA-PBE) results for an optimized crystal structure of UP2H2CO9.

The structure in POSCAR format:
```
UP2H2CO9
1.0
18.7132 0.0000 0.0000
0.0000 8.2122 0.0000
0.0000 0.0000 5.7213
U P H C O
4 8 8 4 36
direct
0.1068 0.2424 0.0000
0.3932 0.7424 0.5000
0.6068 0.2576 0.0000
0.8932 0.7576 0.5000
0.0687 0.8362 0.7752
0.2274 0.9211 0.7925
0.2726 0.4211 0.2925
0.4313 0.3362 0.2752
0.5687 0.6638 0.7752
0.7274 0.5789 0.7925
0.7726 0.0789 0.2925
0.9313 0.1638 0.2752
0.1570 0.8222 0.4700
0.1703 0.6704 0.6887
0.3297 0.1704 0.1887
0.3430 0.3222 0.9700
0.6570 0.6778 0.4700
0.6703 0.8296 0.6887
0.8297 0.3296 0.1887
0.8430 0.1778 0.9700
0.1575 0.7996 0.6596
0.3425 0.2996 0.1596
0.6575 0.7004 0.6596
0.8425 0.2004 0.1596
0.0150 0.7538 0.6104
0.0582 0.7575 0.0185
0.0589 0.0214 0.7994
0.0941 0.4746 0.2560
0.0948 0.3828 0.7610
0.1211 0.1143 0.2512
0.2041 0.1011 0.8160
0.2068 0.3981 0.1339
0.2404 0.8746 0.0498
0.2596 0.3746 0.5498
0.2932 0.8981 0.6339
0.2959 0.6011 0.3160
0.3789 0.6143 0.7512
0.4052 0.8828 0.2610
0.4059 0.9746 0.7560
0.4411 0.5214 0.2994
0.4418 0.2575 0.5185
0.4850 0.2538 0.1104
0.5150 0.7462 0.6104
0.5582 0.7425 0.0185
0.5589 0.4786 0.7994
0.5941 0.0254 0.2560
0.5948 0.1172 0.7610
0.6211 0.3857 0.2512
0.7041 0.3989 0.8160
0.7068 0.1019 0.1339
0.7404 0.6254 0.0498
0.7596 0.1254 0.5498
0.7932 0.6019 0.6339
0.7959 0.8989 0.3160
0.8789 0.8857 0.7512
0.9052 0.6172 0.2610
0.9059 0.5254 0.7560
0.9411 0.9786 0.2994
0.9418 0.2425 0.5185
0.9850 0.2462 0.1104
```

Calculated formation energy, eV/atom: -1.757

Record 4
DFT (GGA-PBE) results for an optimized crystal structure of UP2H2CO7.

The structure in POSCAR format:
```
UP2H2CO7
1.0
8.4757 0.0000 0.0000
0.0000 11.3949 0.0000
0.0000 0.0000 13.9982
U P H C O
8 16 16 8 56
direct
0.1671 0.2266 0.1455
0.1671 0.2734 0.6455
0.3329 0.7266 0.1455
0.3329 0.7734 0.6455
0.6671 0.2266 0.3545
0.6671 0.2734 0.8545
0.8329 0.7266 0.3545
0.8329 0.7734 0.8545
0.0043 0.0238 0.3255
0.0043 0.4762 0.8255
0.2470 0.6929 0.4007
0.2470 0.8071 0.9007
0.2530 0.1929 0.4007
0.2530 0.3071 0.9007
0.4957 0.5238 0.3255
0.4957 0.9762 0.8255
0.5043 0.0238 0.1745
0.5043 0.4762 0.6745
0.7470 0.6929 0.0993
0.7470 0.8071 0.5993
0.7530 0.1929 0.0993
0.7530 0.3071 0.5993
0.9957 0.5238 0.1745
0.9957 0.9762 0.6745
0.1405 0.0241 0.4784
0.1405 0.4759 0.9784
0.2376 0.0167 0.8813
0.2376 0.4833 0.3813
0.2624 0.5167 0.8813
0.2624 0.9833 0.3813
0.3595 0.5241 0.4784
0.3595 0.9759 0.9784
0.6405 0.0241 0.0216
0.6405 0.4759 0.5216
0.7376 0.0167 0.6187
0.7376 0.4833 0.1187
0.7624 0.5167 0.6187
0.7624 0.9833 0.1187
0.8595 0.5241 0.0216
0.8595 0.9759 0.5216
0.1714 0.0458 0.4046
0.1714 0.4542 0.9046
0.3286 0.5458 0.4046
0.3286 0.9542 0.9046
0.6714 0.0458 0.0954
0.6714 0.4542 0.5954
0.8286 0.5458 0.0954
0.8286 0.9542 0.5954
0.0303 0.1097 0.6698
0.0303 0.3903 0.1698
0.0532 0.0644 0.2255
0.0532 0.4356 0.7255
0.0656 0.6831 0.4134
0.0656 0.8169 0.9134
0.1419 0.5906 0.1361
0.1419 0.9094 0.6361
0.1673 0.6728 0.6323
0.1673 0.8272 0.1323
0.1806 0.2336 0.9817
0.1806 0.2664 0.4817
0.2137 0.2464 0.3024
0.2137 0.2536 0.8024
0.2863 0.7464 0.3024
0.2863 0.7536 0.8024
0.3194 0.7336 0.9817
0.3194 0.7664 0.4817
0.3327 0.1728 0.6323
0.3327 0.3272 0.1323
0.3581 0.0906 0.1361
0.3581 0.4094 0.6361
0.4344 0.1831 0.4134
0.4344 0.3169 0.9134
0.4468 0.5644 0.2255
0.4468 0.9356 0.7255
0.4697 0.6097 0.6698
0.4697 0.8903 0.1698
0.5303 0.1097 0.8302
0.5303 0.3903 0.3302
0.5532 0.0644 0.2745
0.5532 0.4356 0.7745
0.5656 0.6831 0.0866
0.5656 0.8169 0.5866
0.6419 0.5906 0.3639
0.6419 0.9094 0.8639
0.6673 0.6728 0.8677
0.6673 0.8272 0.3677
0.6806 0.2336 0.5183
0.6806 0.2664 0.0183
0.7137 0.2464 0.1976
0.7137 0.2536 0.6976
0.7863 0.7464 0.1976
0.7863 0.7536 0.6976
0.8194 0.7336 0.5183
0.8194 0.7664 0.0183
0.8327 0.1728 0.8677
0.8327 0.3272 0.3677
0.8581 0.0906 0.3639
0.8581 0.4094 0.8639
0.9344 0.1831 0.0866
0.9344 0.3169 0.5866
0.9468 0.5644 0.2745
0.9468 0.9356 0.7745
0.9697 0.6097 0.8302
0.9697 0.8903 0.3302
```

Calculated formation energy, eV/atom: -2.260

Record 5
DFT (GGA-PBE) results for an optimized crystal structure of UPH3C2O10.

The structure in POSCAR format:
```
UPH3C2O10
1.0
8.3111 0.0000 0.0000
0.0000 7.0029 0.0000
-2.6803 0.0000 8.3535
U P H C O
2 2 6 4 20
direct
0.2242 0.0000 0.4217
0.7758 0.5000 0.5783
0.3235 0.4869 0.3760
0.6765 0.9869 0.6240
0.1798 0.5788 0.0991
0.2158 0.8984 0.9209
0.2628 0.3403 0.1203
0.7372 0.8403 0.8797
0.7842 0.3984 0.0791
0.8202 0.0788 0.9009
0.0255 0.3622 0.1599
0.1938 0.4467 0.1685
0.8062 0.9467 0.8315
0.9745 0.8622 0.8401
0.0050 0.8547 0.2630
0.0130 0.2077 0.2265
0.1063 0.9617 0.9220
0.1324 0.0035 0.5858
0.2670 0.6794 0.4313
0.2882 0.3223 0.4766
0.3392 0.0135 0.2749
0.4040 0.7943 0.9580
0.4248 0.4835 0.8873
0.4917 0.9953 0.6206
0.5083 0.4953 0.3794
0.5752 0.9835 0.1127
0.5960 0.2943 0.0420
0.6608 0.5135 0.7251
0.7118 0.8223 0.5234
0.7330 0.1794 0.5687
0.8676 0.5035 0.4142
0.8937 0.4617 0.0780
0.9870 0.7077 0.7735
0.9950 0.3547 0.7370
```

Calculated formation energy, eV/atom: -1.320

Record 6
DFT (GGA-PBE) results for an optimized crystal structure of U2P2H2CO14.

The structure in POSCAR format:
```
U2P2H2CO14
1.0
8.6910 0.0000 0.0000
0.0000 14.7393 0.0000
-1.4424 0.0000 10.6017
U P H C O
8 8 8 4 56
direct
0.9996 0.2408 0.0682
0.9996 0.2592 0.5682
0.0004 0.7408 0.4318
0.0004 0.7592 0.9318
0.4821 0.9995 0.2543
0.4821 0.5005 0.7543
0.5179 0.0005 0.7457
0.5179 0.4995 0.2457
0.3459 0.1463 0.4920
0.3459 0.3537 0.9920
0.3494 0.1417 0.9838
0.3494 0.3583 0.4838
0.6506 0.6417 0.5162
0.6506 0.8583 0.0162
0.6541 0.6463 0.0080
0.6541 0.8537 0.5080
0.3732 0.2490 0.3268
0.3732 0.2510 0.8268
0.4566 0.7499 0.0599
0.4566 0.7501 0.5599
0.5434 0.2499 0.4401
0.5434 0.2501 0.9401
0.6268 0.7490 0.1732
0.6268 0.7510 0.6732
0.4159 0.2491 0.9284
0.4159 0.2509 0.4284
0.5841 0.7491 0.5716
0.5841 0.7509 0.0716
0.0468 0.5439 0.2364
0.0468 0.9561 0.7364
0.0756 0.5610 0.3497
0.0756 0.9390 0.8497
0.1190 0.2265 0.2201
0.1190 0.2735 0.7201
0.1323 0.6448 0.8849
0.1323 0.8552 0.3849
0.1359 0.7396 0.5782
0.1359 0.7604 0.0782
0.1708 0.1462 0.9834
0.1708 0.3538 0.4834
0.1762 0.1620 0.5153
0.1762 0.3380 0.0153
0.2289 0.7274 0.3437
0.2289 0.7726 0.8437
0.3089 0.5531 0.6733
0.3089 0.9469 0.1733
0.3472 0.0723 0.3906
0.3472 0.4277 0.8906
0.3486 0.5566 0.1655
0.3486 0.9434 0.6655
0.3823 0.0692 0.8857
0.3823 0.4308 0.3857
0.4373 0.1198 0.1150
0.4373 0.3802 0.6150
0.4517 0.1212 0.6144
0.4517 0.3788 0.1144
0.5483 0.6212 0.8856
0.5483 0.8788 0.3856
0.5627 0.6198 0.3850
0.5627 0.8802 0.8850
0.6177 0.5692 0.6143
0.6177 0.9308 0.1143
0.6514 0.0566 0.3345
0.6514 0.4434 0.8345
0.6528 0.5723 0.1094
0.6528 0.9277 0.6094
0.6911 0.0531 0.8267
0.6911 0.4469 0.3267
0.7711 0.2274 0.1563
0.7711 0.2726 0.6563
0.8238 0.6620 0.9847
0.8238 0.8380 0.4847
0.8292 0.6462 0.5166
0.8292 0.8538 0.0166
0.8641 0.2396 0.9218
0.8641 0.2604 0.4218
0.8677 0.1448 0.6151
0.8677 0.3552 0.1151
0.8810 0.7265 0.2799
0.8810 0.7735 0.7799
0.9244 0.0610 0.1503
0.9244 0.4390 0.6503
0.9532 0.0439 0.2636
0.9532 0.4561 0.7636
```

Calculated formation energy, eV/atom: -1.609

Record 7
DFT (GGA-PBE) results for an optimized crystal structure of Zn2PH2CO7.

The structure in POSCAR format:
```
Zn2PH2CO7
1.0
8.0527 0.0000 0.0000
0.0000 4.8718 0.0000
-6.1976 0.0000 14.2393
Zn P H C O
8 4 8 4 28
direct
0.0554 0.0054 0.3666
0.0554 0.4946 0.8666
0.4025 0.5245 0.3071
0.4025 0.9755 0.8071
0.5975 0.0245 0.1929
0.5975 0.4755 0.6929
0.9446 0.5054 0.1334
0.9446 0.9946 0.6334
0.1971 0.5286 0.7010
0.1971 0.9714 0.2010
0.8029 0.0286 0.7990
0.8029 0.4714 0.2990
0.1385 0.7376 0.0328
0.1385 0.7624 0.5328
0.2816 0.0004 0.5337
0.2816 0.4996 0.0337
0.7184 0.9996 0.4663
0.7184 0.5004 0.9663
0.8615 0.2376 0.4672
0.8615 0.2624 0.9672
0.4328 0.1191 0.9921
0.4328 0.3809 0.4921
0.5672 0.6191 0.5079
0.5672 0.8809 0.0079
0.0523 0.6481 0.6087
0.0523 0.8519 0.1087
0.1616 0.6534 0.7846
0.1616 0.8466 0.2846
0.1941 0.2098 0.6983
0.1941 0.2902 0.1983
0.1985 0.6463 0.9948
0.1985 0.8537 0.4948
0.3405 0.1912 0.9080
0.3405 0.3088 0.4080
0.3889 0.6424 0.7169
0.3889 0.8576 0.2169
0.4254 0.2276 0.0647
0.4254 0.2724 0.5647
0.5746 0.7276 0.4353
0.5746 0.7724 0.9353
0.6111 0.1424 0.7831
0.6111 0.3576 0.2831
0.6595 0.6912 0.5920
0.6595 0.8088 0.0920
0.8015 0.1463 0.5052
0.8015 0.3537 0.0052
0.8059 0.7098 0.8017
0.8059 0.7902 0.3017
0.8384 0.1534 0.7154
0.8384 0.3466 0.2154
0.9477 0.1481 0.8913
0.9477 0.3519 0.3913
```

Calculated formation energy, eV/atom: -1.914